No. 1
Density functional theory data (GGA+U) for an optimized crystal structure of LiV4O10.

The calculation puts the volume at 12.566 A^3/atom. Its space-group type is P-1, No. 2. The value obtained for the energy above the most stable polymorph in this dataset is 0.000 eV per formula unit. For the energy relative to the elements, the calculation gives -2.353 eV per atom.

POSCAR file:
```
LiV4O10
1.0
-6.554 -0.719 4.692
7.893 3.127 5.880
-1.284 13.571 -5.475
Li V O
6 24 60
direct
0.886 0.674 0.485 Li
0.882 0.677 0.236 Li
0.885 0.675 0.985 Li
0.114 0.326 0.515 Li
0.118 0.323 0.764 Li
0.115 0.325 0.015 Li
0.329 0.898 0.541 V
0.325 0.896 0.791 V
0.328 0.898 0.041 V
0.332 0.898 0.291 V
0.765 0.889 0.095 V
0.766 0.886 0.595 V
0.771 0.893 0.347 V
0.772 0.891 0.847 V
0.428 0.593 0.053 V
0.432 0.593 0.803 V
0.431 0.593 0.554 V
0.421 0.589 0.302 V
0.569 0.407 0.446 V
0.572 0.407 0.947 V
0.579 0.411 0.698 V
0.568 0.407 0.197 V
0.228 0.109 0.153 V
0.235 0.111 0.905 V
0.234 0.114 0.405 V
0.229 0.107 0.653 V
0.668 0.102 0.709 V
0.675 0.104 0.209 V
0.671 0.102 0.459 V
0.672 0.102 0.959 V
0.368 0.950 0.674 O
0.376 0.953 0.918 O
0.368 0.949 0.175 O
0.379 0.953 0.418 O
0.129 0.782 0.513 O
0.129 0.781 0.016 O
0.128 0.783 0.768 O
0.131 0.786 0.269 O
0.735 0.925 0.717 O
0.736 0.927 0.217 O
0.734 0.927 0.467 O
0.734 0.927 0.966 O
0.478 0.775 0.560 O
0.471 0.777 0.809 O
0.477 0.774 0.060 O
0.472 0.776 0.309 O
0.787 0.733 0.589 O
0.784 0.735 0.857 O
0.792 0.734 0.099 O
0.792 0.736 0.349 O
0.214 0.525 0.776 O
0.210 0.527 0.025 O
0.212 0.527 0.529 O
0.205 0.530 0.275 O
0.494 0.575 0.936 O
0.489 0.573 0.435 O
0.498 0.578 0.688 O
0.490 0.575 0.187 O
0.511 0.427 0.565 O
0.510 0.425 0.813 O
0.506 0.425 0.064 O
0.502 0.422 0.312 O
0.795 0.470 0.725 O
0.790 0.473 0.975 O
0.788 0.473 0.471 O
0.786 0.475 0.224 O
0.208 0.264 0.651 O
0.208 0.266 0.901 O
0.216 0.265 0.143 O
0.213 0.267 0.411 O
0.528 0.224 0.691 O
0.523 0.226 0.940 O
0.522 0.225 0.440 O
0.529 0.223 0.191 O
0.266 0.073 0.533 O
0.266 0.073 0.034 O
0.264 0.073 0.783 O
0.265 0.075 0.283 O
0.869 0.214 0.731 O
0.872 0.217 0.232 O
0.871 0.218 0.487 O
0.871 0.219 0.984 O
0.001 0.997 0.876 O
0.000 0.998 0.624 O
0.000 0.002 0.376 O
0.999 0.003 0.124 O
0.624 0.047 0.082 O
0.621 0.047 0.582 O
0.632 0.051 0.825 O
0.632 0.050 0.326 O
```

---

No. 2
Density functional theory data (GGA+U) for an optimized crystal structure of Cs2Mn2Cr3O12.

The calculation puts the volume at 16.814 A^3/atom. Its space-group type is P2_13, No. 198. For the energy relative to the elements, the calculation gives -1.770 eV per atom.

POSCAR file:
```
Cs2Mn2Cr3O12
1.0
10.852 0.000 0.000
0.000 10.852 0.000
0.000 0.000 10.852
Cs Mn Cr O
8 8 12 48
direct
0.050 0.050 0.050 Cs
0.450 0.950 0.550 Cs
0.950 0.550 0.450 Cs
0.550 0.450 0.950 Cs
0.818 0.818 0.818 Cs
0.682 0.182 0.318 Cs
0.182 0.318 0.682 Cs
0.318 0.682 0.182 Cs
0.336 0.336 0.336 Mn
0.164 0.664 0.836 Mn
0.664 0.836 0.164 Mn
0.836 0.164 0.664 Mn
0.601 0.601 0.601 Mn
0.899 0.399 0.101 Mn
0.399 0.101 0.899 Mn
0.101 0.899 0.399 Mn
0.020 0.214 0.377 Cr
0.480 0.786 0.877 Cr
0.980 0.714 0.123 Cr
0.377 0.020 0.214 Cr
0.520 0.286 0.623 Cr
0.877 0.480 0.786 Cr
0.123 0.980 0.714 Cr
0.623 0.520 0.286 Cr
0.214 0.377 0.020 Cr
0.714 0.123 0.980 Cr
0.286 0.623 0.520 Cr
0.786 0.877 0.480 Cr
0.017 0.067 0.333 O
0.483 0.933 0.833 O
0.983 0.567 0.167 O
0.333 0.017 0.067 O
0.517 0.433 0.667 O
0.833 0.483 0.933 O
0.167 0.983 0.567 O
0.667 0.517 0.433 O
0.067 0.333 0.017 O
0.567 0.167 0.983 O
0.433 0.667 0.517 O
0.933 0.833 0.483 O
0.269 0.493 0.439 O
0.231 0.507 0.939 O
0.731 0.993 0.061 O
0.439 0.269 0.493 O
0.769 0.007 0.561 O
0.939 0.231 0.507 O
0.061 0.731 0.993 O
0.561 0.769 0.007 O
0.493 0.439 0.269 O
0.993 0.061 0.731 O
0.007 0.561 0.769 O
0.507 0.939 0.231 O
0.045 0.802 0.232 O
0.455 0.198 0.732 O
0.955 0.302 0.268 O
0.232 0.045 0.802 O
0.545 0.698 0.768 O
0.732 0.455 0.198 O
0.268 0.955 0.302 O
0.768 0.545 0.698 O
0.802 0.232 0.045 O
0.302 0.268 0.955 O
0.698 0.768 0.545 O
0.198 0.732 0.455 O
0.164 0.260 0.400 O
0.336 0.740 0.900 O
0.836 0.760 0.100 O
0.400 0.164 0.260 O
0.664 0.240 0.600 O
0.900 0.336 0.740 O
0.100 0.836 0.760 O
0.600 0.664 0.240 O
0.260 0.400 0.164 O
0.760 0.100 0.836 O
0.240 0.600 0.664 O
0.740 0.900 0.336 O
```

---

No. 3
Density functional theory data (GGA+U) for an optimized crystal structure of NaMgNiO2.

The calculation puts the volume at 13.198 A^3/atom. Its space-group type is Cm, No. 8. The value obtained for the energy above the most stable polymorph in this dataset is 0.232 eV per formula unit. For the energy relative to the elements, the calculation gives -1.475 eV per atom.

POSCAR file:
```
NaMgNiO2
1.0
3.956 4.522 3.024
4.799 2.065 5.062
6.473 2.641 2.011
Na Mg Ni O
1 1 1 2
direct
0.408 0.585 0.585 Na
0.481 0.346 0.346 Mg
0.944 0.962 0.962 Ni
0.213 0.321 0.321 O
0.858 0.704 0.704 O
```

---

No. 4
Density functional theory data (GGA+U) for an optimized crystal structure of Li15Cr2O12.

The calculation puts the volume at 8.636 A^3/atom. Its space-group type is P1, No. 1. For the energy relative to the elements, the calculation gives -2.064 eV per atom.

POSCAR file:
```
Li15Cr2O12
1.0
-1.546 3.415 3.961
2.752 -3.282 3.885
6.319 4.605 -1.533
Li Cr O
15 2 12
direct
0.995 0.674 0.644 Li
0.128 0.263 0.627 Li
0.202 0.597 0.918 Li
0.188 0.947 0.304 Li
0.303 0.560 0.209 Li
0.336 0.904 0.584 Li
0.375 0.198 0.875 Li
0.502 0.194 0.166 Li
0.627 0.787 0.106 Li
0.666 0.075 0.432 Li
0.691 0.472 0.794 Li
0.782 0.041 0.713 Li
0.850 0.430 0.073 Li
0.856 0.724 0.363 Li
0.995 0.322 0.349 Li
0.497 0.495 0.501 Cr
0.002 0.000 0.998 Cr
0.124 0.000 0.772 O
0.171 0.306 0.065 O
0.189 0.663 0.426 O
0.286 0.859 0.078 O
0.340 0.196 0.430 O
0.357 0.482 0.720 O
0.639 0.499 0.265 O
0.662 0.791 0.560 O
0.721 0.167 0.940 O
0.801 0.331 0.577 O
0.865 0.703 0.935 O
0.854 0.001 0.229 O
```